(1)
First-principles (GGA-PBE) data for Sb2Te3 after structural relaxation, as listed in the Materials Project.

- DFT total energy (eV/atom) = -3.6676

```
data_Sb2Te3
_chemical_formula_sum 'Sb2 Te3'
_cell_length_a 10.745
_cell_length_b 10.745
_cell_length_c 10.745
_cell_angle_alpha 23.26
_cell_angle_beta 23.26
_cell_angle_gamma 23.26
_symmetry_space_group_name_H-M 'P 1'
_symmetry_Int_Tables_number 1
_symmetry_space_group_name_Hall 'P 1'
loop_
_atom_site_label
_atom_site_type_symbol
_atom_site_fract_x
_atom_site_fract_y
_atom_site_fract_z
_atom_site_occupancy
Te1 Te 0.785 0.785 0.785 1
Sb1 Sb 0.397 0.397 0.397 1
Te2 Te 0.000 0.000 0.000 1
Te3 Te 0.215 0.215 0.215 1
Sb2 Sb 0.603 0.603 0.603 1
```

=====

(2)
First-principles (GGA-PBE) data for SbTe after structural relaxation, as listed in the Materials Project.

- polymorph energy (0 for the lowest one) (eV per atom) = 0.300
- DFT total energy (eV/atom) = -3.4388
- total moment (μB/f.u.) = 0.0

```
data_SbTe
_chemical_formula_sum 'Sb1 Te1'
_cell_length_a 3.827
_cell_length_b 3.827
_cell_length_c 3.827
_cell_angle_alpha 90.00
_cell_angle_beta 90.00
_cell_angle_gamma 90.00
_symmetry_space_group_name_H-M 'P 1'
_symmetry_Int_Tables_number 1
_symmetry_space_group_name_Hall 'P 1'
loop_
_atom_site_label
_atom_site_type_symbol
_atom_site_fract_x
_atom_site_fract_y
_atom_site_fract_z
_atom_site_occupancy
Sb1 Sb 0.000 0.000 0.000 1
Te1 Te 0.500 0.500 0.500 1
```

=====

(3)
First-principles (GGA-PBE) data for Sb2Te3 after structural relaxation, as listed in the Materials Project.

- DFT total energy (eV/atom) = -3.5353
- total moment (μB/f.u.) = 0.0

```
data_Sb2Te3
_chemical_formula_sum 'Sb4 Te6'
_cell_length_a 6.640
_cell_length_b 6.640
_cell_length_c 7.652
_cell_angle_alpha 78.24
_cell_angle_beta 78.24
_cell_angle_gamma 79.59
_symmetry_space_group_name_H-M 'P 1'
_symmetry_Int_Tables_number 1
_symmetry_space_group_name_Hall 'P 1'
loop_
_atom_site_label
_atom_site_type_symbol
_atom_site_fract_x
_atom_site_fract_y
_atom_site_fract_z
_atom_site_occupancy
Te1 Te 0.602 0.398 0.250 1
Te2 Te 0.771 0.981 0.958 1
Te3 Te 0.981 0.771 0.458 1
Sb1 Sb 0.829 0.575 0.838 1
Sb2 Sb 0.171 0.425 0.162 1
Te4 Te 0.229 0.019 0.042 1
Sb3 Sb 0.575 0.829 0.338 1
Te5 Te 0.398 0.602 0.750 1
Te6 Te 0.019 0.229 0.542 1
Sb4 Sb 0.425 0.171 0.662 1
```

=====

(4)
First-principles (GGA-PBE) data for Sb2Te3 after structural relaxation, as listed in the Materials Project.

- DFT total energy (eV/atom) = -3.5395
- total moment (μB/f.u.) = 0.0

```
data_Sb2Te3
_chemical_formula_sum 'Sb4 Te6'
_cell_length_a 11.980
_cell_length_b 11.980
_cell_length_c 11.980
_cell_angle_alpha 158.09
_cell_angle_beta 149.82
_cell_angle_gamma 37.61
_symmetry_space_group_name_H-M 'P 1'
_symmetry_Int_Tables_number 1
_symmetry_space_group_name_Hall 'P 1'
loop_
_atom_site_label
_atom_site_type_symbol
_atom_site_fract_x
_atom_site_fract_y
_atom_site_fract_z
_atom_site_occupancy
Te1 Te 0.000 0.500 0.500 1
Te2 Te 0.890 0.890 0.000 1
Te3 Te 0.697 0.697 0.000 1
Te4 Te 0.303 0.303 0.000 1
Te5 Te 0.500 0.500 0.000 1
Sb1 Sb 0.799 0.299 0.500 1
Sb2 Sb 0.201 0.701 0.500 1
Sb3 Sb 0.400 0.900 0.500 1
Te6 Te 0.110 0.110 0.000 1
Sb4 Sb 0.600 0.100 0.500 1
```

=====

(5)
First-principles (GGA-PBE) data for SbTe2 after structural relaxation, as listed in the Materials Project.

- DFT total energy (eV/atom) = -3.5170

```
data_SbTe2
_chemical_formula_sum 'Sb1 Te2'
_cell_length_a 4.455
_cell_length_b 4.455
_cell_length_c 5.627
_cell_angle_alpha 90.00
_cell_angle_beta 90.00
_cell_angle_gamma 120.00
_symmetry_space_group_name_H-M 'P 1'
_symmetry_Int_Tables_number 1
_symmetry_space_group_name_Hall 'P 1'
loop_
_atom_site_label
_atom_site_type_symbol
_atom_site_fract_x
_atom_site_fract_y
_atom_site_fract_z
_atom_site_occupancy
Te1 Te 0.333 0.667 0.687 1
Sb1 Sb 0.000 0.000 0.000 1
Te2 Te 0.667 0.333 0.313 1
```

=====

(6)
First-principles (GGA-PBE) data for Sb2Te3 after structural relaxation, as listed in the Materials Project.

- DFT total energy (eV/atom) = -3.6122

```
data_Sb2Te3
_chemical_formula_sum 'Sb4 Te6'
_cell_length_a 8.329
_cell_length_b 8.329
_cell_length_c 9.890
_cell_angle_alpha 85.06
_cell_angle_beta 85.06
_cell_angle_gamma 29.96
_symmetry_space_group_name_H-M 'P 1'
_symmetry_Int_Tables_number 1
_symmetry_space_group_name_Hall 'P 1'
loop_
_atom_site_label
_atom_site_type_symbol
_atom_site_fract_x
_atom_site_fract_y
_atom_site_fract_z
_atom_site_occupancy
Sb1 Sb 0.236 0.236 0.806 1
Te1 Te 0.832 0.832 0.632 1
Te2 Te 0.642 0.642 0.997 1
Te3 Te 0.567 0.567 0.643 1
Te4 Te 0.168 0.168 0.368 1
Te5 Te 0.358 0.358 0.003 1
Sb2 Sb 0.764 0.764 0.194 1
Te6 Te 0.433 0.433 0.357 1
Sb3 Sb 0.974 0.974 0.791 1
Sb4 Sb 0.026 0.026 0.209 1
```

=====

(7)
First-principles (GGA-PBE) data for ThSbTe after structural relaxation, as listed in the Materials Project.

- DFT total energy (eV/atom) = -5.9383

```
data_ThSbTe
_chemical_formula_sum 'Th2 Sb2 Te2'
_cell_length_a 4.441
_cell_length_b 4.441
_cell_length_c 9.198
_cell_angle_alpha 90.00
_cell_angle_beta 90.00
_cell_angle_gamma 90.00
_symmetry_space_group_name_H-M 'P 1'
_symmetry_Int_Tables_number 1
_symmetry_space_group_name_Hall 'P 1'
loop_
_atom_site_label
_atom_site_type_symbol
_atom_site_fract_x
_atom_site_fract_y
_atom_site_fract_z
_atom_site_occupancy
Sb1 Sb 0.500 0.500 0.000 1
Te1 Te 0.500 0.000 0.630 1
Te2 Te 0.000 0.500 0.370 1
Th1 Th 0.000 0.500 0.736 1
Th2 Th 0.500 0.000 0.264 1
Sb2 Sb 0.000 0.000 0.000 1
```

=====

(8)
First-principles (GGA-PBE) data for Th2SbTe after structural relaxation, as listed in the Materials Project.

- DFT total energy (eV/atom) = -6.5186

```
data_Th2SbTe
_chemical_formula_sum 'Th2 Sb1 Te1'
_cell_length_a 5.449
_cell_length_b 5.449
_cell_length_c 5.449
_cell_angle_alpha 60.00
_cell_angle_beta 60.00
_cell_angle_gamma 60.00
_symmetry_space_group_name_H-M 'P 1'
_symmetry_Int_Tables_number 1
_symmetry_space_group_name_Hall 'P 1'
loop_
_atom_site_label
_atom_site_type_symbol
_atom_site_fract_x
_atom_site_fract_y
_atom_site_fract_z
_atom_site_occupancy
Th1 Th 0.750 0.750 0.750 1
Te1 Te 0.000 0.000 0.000 1
Th2 Th 0.250 0.250 0.250 1
Sb1 Sb 0.500 0.500 0.500 1
```

=====

(9)
First-principles (GGA-PBE) data for Tm2SbTe after structural relaxation, as listed in the Materials Project.

- DFT total energy (eV/atom) = -5.2255

```
data_Tm2SbTe
_chemical_formula_sum 'Tm2 Sb1 Te1'
_cell_length_a 7.476
_cell_length_b 7.476
_cell_length_c 7.476
_cell_angle_alpha 33.70
_cell_angle_beta 33.70
_cell_angle_gamma 33.70
_symmetry_space_group_name_H-M 'P 1'
_symmetry_Int_Tables_number 1
_symmetry_space_group_name_Hall 'P 1'
loop_
_atom_site_label
_atom_site_type_symbol
_atom_site_fract_x
_atom_site_fract_y
_atom_site_fract_z
_atom_site_occupancy
Tm1 Tm 0.254 0.254 0.254 1
Te1 Te 0.500 0.500 0.500 1
Sb1 Sb 0.000 0.000 0.000 1
Tm2 Tm 0.746 0.746 0.746 1
```

=====

(10)
First-principles (GGA-PBE) data for U2SbTe after structural relaxation, as listed in the Materials Project.

- DFT total energy (eV/atom) = -7.7996
- total moment (μB/f.u.) = 5.6

```
data_U2SbTe
_chemical_formula_sum 'U2 Sb1 Te1'
_cell_length_a 7.180
_cell_length_b 7.180
_cell_length_c 7.180
_cell_angle_alpha 36.71
_cell_angle_beta 36.71
_cell_angle_gamma 36.71
_symmetry_space_group_name_H-M 'P 1'
_symmetry_Int_Tables_number 1
_symmetry_space_group_name_Hall 'P 1'
loop_
_atom_site_label
_atom_site_type_symbol
_atom_site_fract_x
_atom_site_fract_y
_atom_site_fract_z
_atom_site_occupancy
U1 U 0.750 0.750 0.750 1
Sb1 Sb 0.000 0.000 0.000 1
Te1 Te 0.500 0.500 0.500 1
U2 U 0.250 0.250 0.250 1
```

=====

(11)
First-principles (GGA-PBE) data for ThSb after structural relaxation, as listed in the Materials Project.

- DFT total energy (eV/atom) = -6.5863
- total moment (μB/f.u.) = 0.1

```
data_ThSb
_chemical_formula_sum 'Th1 Sb1'
_cell_length_a 3.861
_cell_length_b 3.861
_cell_length_c 3.861
_cell_angle_alpha 90.00
_cell_angle_beta 90.00
_cell_angle_gamma 90.00
_symmetry_space_group_name_H-M 'P 1'
_symmetry_Int_Tables_number 1
_symmetry_space_group_name_Hall 'P 1'
loop_
_atom_site_label
_atom_site_type_symbol
_atom_site_fract_x
_atom_site_fract_y
_atom_site_fract_z
_atom_site_occupancy
Th1 Th 0.500 0.500 0.500 1
Sb1 Sb 0.000 0.000 0.000 1
```

=====

(12)
First-principles (GGA-PBE) data for Th3Sb4 after structural relaxation, as listed in the Materials Project.

- maximum piezoelectric response (C/m2) = 0.30
- DFT total energy (eV/atom) = -6.4652

```
data_Th3Sb4
_chemical_formula_sum 'Th6 Sb8'
_cell_length_a 8.186
_cell_length_b 8.186
_cell_length_c 8.186
_cell_angle_alpha 109.47
_cell_angle_beta 109.47
_cell_angle_gamma 109.47
_symmetry_space_group_name_H-M 'P 1'
_symmetry_Int_Tables_number 1
_symmetry_space_group_name_Hall 'P 1'
loop_
_atom_site_label
_atom_site_type_symbol
_atom_site_fract_x
_atom_site_fract_y
_atom_site_fract_z
_atom_site_occupancy
Th1 Th 0.375 0.250 0.625 1
Th2 Th 0.625 0.375 0.250 1
Sb1 Sb 0.660 0.660 0.660 1
Sb2 Sb 0.340 0.500 0.000 1
Th3 Th 0.875 0.125 0.750 1
Sb3 Sb 0.500 0.000 0.840 1
Sb4 Sb 0.000 0.840 0.500 1
Sb5 Sb 0.500 0.000 0.340 1
Th4 Th 0.125 0.750 0.875 1
Sb6 Sb 0.840 0.500 0.000 1
Th5 Th 0.750 0.875 0.125 1
Sb7 Sb 0.000 0.340 0.500 1
Th6 Th 0.250 0.625 0.375 1
Sb8 Sb 0.160 0.160 0.160 1
```

=====

Copy entry 11 word for word.
First-principles (GGA-PBE) data for ThSb after structural relaxation, as listed in the Materials Project.

- DFT total energy (eV/atom) = -6.5863
- total moment (μB/f.u.) = 0.1

```
data_ThSb
_chemical_formula_sum 'Th1 Sb1'
_cell_length_a 3.861
_cell_length_b 3.861
_cell_length_c 3.861
_cell_angle_alpha 90.00
_cell_angle_beta 90.00
_cell_angle_gamma 90.00
_symmetry_space_group_name_H-M 'P 1'
_symmetry_Int_Tables_number 1
_symmetry_space_group_name_Hall 'P 1'
loop_
_atom_site_label
_atom_site_type_symbol
_atom_site_fract_x
_atom_site_fract_y
_atom_site_fract_z
_atom_site_occupancy
Th1 Th 0.500 0.500 0.500 1
Sb1 Sb 0.000 0.000 0.000 1
```

=====

Question: What is the DFT total energy in the first record?
Answer: -3.6676 eV/atom

=====

Question: Number 4 is which compound?
Answer: Sb2Te3

=====

Question: The lowest DFT total energy belongs to which entry?
Answer: U2SbTe